Compound: Sm2CdRh2
Source: the Materials Project
Functional: PBE-GGA
Structure: relaxed

Cell lengths 7.5800, 7.5800, 3.8668 Å; angles 90.00, 90.00, 90.00 degrees
Last column: nearest neighbours and their distance in Å.
Atoms (fractional coordinates):
Sm 0.1668 0.3332 0.0000  6 Rh 2.88-3.00
Sm 0.3332 0.8332 0.0000  6 Rh 2.88-3.00
Sm 0.6668 0.1668 0.0000  6 Rh 2.88-3.00
Sm 0.8332 0.6668 0.0000  6 Rh 2.88-3.00
Cd 0.0000 0.0000 0.5000  4 Rh 2.96
Cd 0.5000 0.5000 0.5000  4 Rh 2.96
Rh 0.1339 0.6339 0.5000  1 Rh 2.87, 6 Sm 2.88-3.00, 2 Cd 2.96
Rh 0.3661 0.1339 0.5000  1 Rh 2.87, 6 Sm 2.88-3.00, 2 Cd 2.96
Rh 0.6339 0.8661 0.5000  1 Rh 2.87, 6 Sm 2.88-3.00, 2 Cd 2.96
Rh 0.8661 0.3661 0.5000  1 Rh 2.87, 6 Sm 2.88-3.00, 2 Cd 2.96

Output
Volume, Å³/cell: 222.17
Theoretical density, kg/m3: 9252

Compound: Tb4CdRh
Source: the Materials Project
Functional: PBE-GGA
Structure: relaxed

Cell lengths 9.6721, 9.6721, 9.6721 Å; angles 60.00, 60.00, 60.00 degrees
Last column: nearest neighbours and their distance in Å.
Atoms (fractional coordinates):
Tb 0.0605 0.0605 0.4395  2 Rh 2.83
Tb 0.0605 0.4395 0.0605  2 Rh 2.83
Tb 0.0605 0.4395 0.4395  2 Rh 2.83
Tb 0.1861 0.1861 0.8139  2 Cd 3.28, 2 Rh 3.51, 10 Tb 3.51-3.63
Tb 0.1861 0.8139 0.1861  2 Cd 3.28, 2 Rh 3.51, 10 Tb 3.51-3.63
Tb 0.1861 0.8139 0.8139  2 Cd 3.28, 2 Rh 3.51, 10 Tb 3.51-3.63
Tb 0.2020 0.5994 0.5994  3 Rh 2.84
Tb 0.4395 0.0605 0.0605  2 Rh 2.83
Tb 0.4395 0.0605 0.4395  2 Rh 2.83
Tb 0.4395 0.4395 0.0605  2 Rh 2.83
Tb 0.5994 0.2020 0.5994  3 Rh 2.84
Tb 0.5994 0.5994 0.2020  3 Rh 2.84
Tb 0.5994 0.5994 0.5994  3 Rh 2.84
Tb 0.8139 0.1861 0.1861  2 Cd 3.28, 2 Rh 3.51, 10 Tb 3.51-3.63
Tb 0.8139 0.1861 0.8139  2 Cd 3.28, 2 Rh 3.51, 10 Tb 3.51-3.63
Tb 0.8139 0.8139 0.1861  2 Cd 3.28, 2 Rh 3.51, 10 Tb 3.51-3.63
Cd 0.5078 0.8307 0.8307  3 Cd 3.12, 6 Tb 3.28-3.44
Cd 0.8307 0.5078 0.8307  3 Cd 3.12, 6 Tb 3.28-3.44
Cd 0.8307 0.8307 0.5078  3 Cd 3.12, 6 Tb 3.28-3.44
Cd 0.8307 0.8307 0.8307  3 Cd 3.12, 6 Tb 3.28-3.44
Rh 0.3924 0.3924 0.3924  6 Tb 2.83-2.84
Rh 0.3924 0.3924 0.8228  6 Tb 2.83-2.84
Rh 0.3924 0.8228 0.3924  6 Tb 2.83-2.84
Rh 0.8228 0.3924 0.3924  6 Tb 2.83-2.84

Output
Volume, Å³/cell: 639.80
Theoretical density, kg/m3: 8835

Compound: TbCdRh2
Source: the Materials Project
Functional: PBE-GGA
Structure: relaxed

Cell lengths 4.7143, 4.7143, 4.7143 Å; angles 60.00, 60.00, 60.00 degrees
Last column: nearest neighbours and their distance in Å.
Atoms (fractional coordinates):
Tb 0.0000 0.0000 0.0000  8 Rh 2.89
Cd 0.5000 0.5000 0.5000  8 Rh 2.89
Rh 0.2500 0.2500 0.2500  4 Cd 2.89, 4 Tb 2.89
Rh 0.7500 0.7500 0.7500  4 Cd 2.89, 4 Tb 2.89

Output
Volume, Å³/cell: 74.09
Theoretical density, kg/m3: 10695

Compound: TlCdRh2
Source: the Materials Project
Functional: PBE-GGA
Structure: relaxed

Cell lengths 4.6243, 4.6243, 4.6243 Å; angles 60.00, 60.00, 60.00 degrees
Last column: nearest neighbours and their distance in Å.
Atoms (fractional coordinates):
Tl 0.0000 0.0000 0.0000  8 Rh 2.83
Cd 0.5000 0.5000 0.5000  8 Rh 2.83
Rh 0.2500 0.2500 0.2500  4 Cd 2.83, 4 Tl 2.83
Rh 0.7500 0.7500 0.7500  4 Cd 2.83, 4 Tl 2.83

Output
Volume, Å³/cell: 69.92
Theoretical density, kg/m3: 12411

Compound: TmCdRh2
Source: the Materials Project
Functional: PBE-GGA
Structure: relaxed

Cell lengths 4.6699, 4.6699, 4.6699 Å; angles 60.00, 60.00, 60.00 degrees
Last column: nearest neighbours and their distance in Å.
Atoms (fractional coordinates):
Tm 0.0000 0.0000 0.0000  8 Rh 2.86
Cd 0.5000 0.5000 0.5000  8 Rh 2.86
Rh 0.2500 0.2500 0.2500  4 Cd 2.86, 4 Tm 2.86
Rh 0.7500 0.7500 0.7500  4 Tm 2.86, 4 Cd 2.86

Output
Volume, Å³/cell: 72.01
Theoretical density, kg/m3: 11233

Compound: Sm23Cd4Ru7
Source: the Materials Project
Functional: PBE-GGA
Structure: relaxed

Cell lengths 9.8807, 9.8807, 22.1400 Å; angles 90.00, 90.00, 120.00 degrees
Last column: nearest neighbours and their distance in Å.
Atoms (fractional coordinates):
Sm 0.0000 0.0000 0.0532  3 Ru 2.86
Sm 0.0000 0.0000 0.5532  3 Ru 2.86
Sm 0.0812 0.5406 0.4073  2 Cd 3.38, 2 Ru 3.38-3.56, 10 Sm 3.50-3.74
Sm 0.0820 0.5410 0.1368  3 Ru 2.86-2.93
Sm 0.1263 0.2526 0.6893  2 Ru 2.87
Sm 0.1263 0.8737 0.6893  2 Ru 2.87
Sm 0.2054 0.4108 0.8343  3 Ru 2.89
Sm 0.2054 0.7946 0.8343  3 Ru 2.89
Sm 0.2070 0.4139 0.0000  2 Ru 2.75-2.80
Sm 0.2074 0.4147 0.2720  2 Ru 2.80
Sm 0.2070 0.7930 0.0000  2 Ru 2.75-2.80
Sm 0.2074 0.7926 0.2720  2 Ru 2.80
Sm 0.2080 0.4160 0.5430  1 Cd 3.31, 6 Sm 3.53-3.70, 2 Ru 3.55
Sm 0.2080 0.7920 0.5430  1 Cd 3.31, 6 Sm 3.53-3.70, 2 Ru 3.55
Sm 0.2526 0.1263 0.1893  2 Ru 2.87
Sm 0.3333 0.6667 0.6979  3 Ru 2.91
Sm 0.4108 0.2054 0.3343  3 Ru 2.89
Sm 0.4139 0.2070 0.5000  2 Ru 2.75-2.80
Sm 0.4147 0.2074 0.7720  2 Ru 2.80
Sm 0.4160 0.2080 0.0430  1 Cd 3.31, 6 Sm 3.53-3.70, 2 Ru 3.55
Sm 0.4590 0.5410 0.1368  3 Ru 2.86-2.93
Sm 0.4594 0.5406 0.4073  2 Cd 3.38, 2 Ru 3.38-3.56, 10 Sm 3.50-3.74
Sm 0.4590 0.9180 0.1368  3 Ru 2.86-2.93
Sm 0.4594 0.9188 0.4073  2 Cd 3.38, 2 Ru 3.38-3.56, 10 Sm 3.50-3.74
Sm 0.5406 0.0812 0.9073  2 Cd 3.38, 2 Ru 3.38-3.56, 10 Sm 3.50-3.74
Sm 0.5410 0.0820 0.6368  3 Ru 2.86-2.93
Sm 0.5410 0.4590 0.6368  3 Ru 2.86-2.93
Sm 0.5406 0.4594 0.9073  2 Cd 3.38, 2 Ru 3.38-3.56, 10 Sm 3.50-3.74
Sm 0.5840 0.7920 0.5430  1 Cd 3.31, 6 Sm 3.53-3.70, 2 Ru 3.55
Sm 0.5853 0.7926 0.2720  2 Ru 2.80
Sm 0.5861 0.7930 0.0000  2 Ru 2.75-2.80
Sm 0.5892 0.7946 0.8343  3 Ru 2.89
Sm 0.6667 0.3333 0.1979  3 Ru 2.91
Sm 0.7474 0.8737 0.6893  2 Ru 2.87
Sm 0.7920 0.2080 0.0430  1 Cd 3.31, 6 Sm 3.53-3.70, 2 Ru 3.55
Sm 0.7920 0.5840 0.0430  1 Cd 3.31, 6 Sm 3.53-3.70, 2 Ru 3.55
Sm 0.7930 0.2070 0.5000  2 Ru 2.75-2.80
Sm 0.7926 0.2074 0.7720  2 Ru 2.80
Sm 0.7926 0.5853 0.7720  2 Ru 2.80
Sm 0.7930 0.5861 0.5000  2 Ru 2.75-2.80
Sm 0.7946 0.2054 0.3343  3 Ru 2.89
Sm 0.7946 0.5892 0.3343  3 Ru 2.89
Sm 0.8737 0.1263 0.1893  2 Ru 2.87
Sm 0.8737 0.7474 0.1893  2 Ru 2.87
Sm 0.9180 0.4590 0.6368  3 Ru 2.86-2.93
Sm 0.9188 0.4594 0.9073  2 Cd 3.38, 2 Ru 3.38-3.56, 10 Sm 3.50-3.74
Cd 0.0000 0.0000 0.3029  3 Cd 3.10, 3 Sm 3.32
Cd 0.0000 0.0000 0.8029  3 Cd 3.10, 3 Sm 3.32
Cd 0.1064 0.2129 0.4159  3 Cd 3.10-3.16, 3 Sm 3.31-3.38
Cd 0.1064 0.8936 0.4159  3 Cd 3.10-3.16, 3 Sm 3.31-3.38
Cd 0.2129 0.1064 0.9159  3 Cd 3.10-3.16, 3 Sm 3.31-3.38
Cd 0.7871 0.8936 0.4159  3 Cd 3.10-3.16, 3 Sm 3.31-3.38
Cd 0.8936 0.1064 0.9159  3 Cd 3.10-3.16, 3 Sm 3.31-3.38
Cd 0.8936 0.7871 0.9159  3 Cd 3.10-3.16, 3 Sm 3.31-3.38
Ru 0.0348 0.5174 0.7612  6 Sm 2.80-2.93
Ru 0.1466 0.2932 0.1153  6 Sm 2.75-2.87
Ru 0.1466 0.8534 0.1153  6 Sm 2.75-2.87
Ru 0.2932 0.1466 0.6153  6 Sm 2.75-2.87
Ru 0.3333 0.6667 0.9195  6 Sm 2.80-2.89
Ru 0.4826 0.5174 0.7612  6 Sm 2.80-2.93
Ru 0.4826 0.9652 0.7612  6 Sm 2.80-2.93
Ru 0.5174 0.0348 0.2612  6 Sm 2.80-2.93
Ru 0.5174 0.4826 0.2612  6 Sm 2.80-2.93
Ru 0.6667 0.3333 0.4195  6 Sm 2.80-2.89
Ru 0.7068 0.8534 0.1153  6 Sm 2.75-2.87
Ru 0.8534 0.1466 0.6153  6 Sm 2.75-2.87
Ru 0.8534 0.7068 0.6153  6 Sm 2.75-2.87
Ru 0.9652 0.4826 0.2612  6 Sm 2.80-2.93

Output
Volume, Å³/cell: 1871.90
Theoretical density, kg/m3: 8189

Compound: Y4CdRu
Source: the Materials Project
Functional: PBE-GGA
Structure: relaxed

Cell lengths 9.6652, 9.6652, 9.6652 Å; angles 60.00, 60.00, 60.00 degrees
Last column: nearest neighbours and their distance in Å.
Atoms (fractional coordinates):
Y 0.0413 0.6529 0.6529  3 Ru 2.85
Y 0.0610 0.0610 0.4390  2 Cd 3.30, 10 Y 3.47-3.65, 2 Ru 3.47
Y 0.0610 0.4390 0.0610  2 Cd 3.30, 10 Y 3.47-3.65, 2 Ru 3.47
Y 0.0610 0.4390 0.4390  2 Cd 3.30, 10 Y 3.47-3.65, 2 Ru 3.47
Y 0.1895 0.1895 0.8105  2 Ru 2.78
Y 0.1895 0.8105 0.1895  2 Ru 2.78
Y 0.1895 0.8105 0.8105  2 Ru 2.78
Y 0.4390 0.0610 0.0610  2 Cd 3.30, 10 Y 3.47-3.65, 2 Ru 3.47
Y 0.4390 0.0610 0.4390  2 Cd 3.30, 10 Y 3.47-3.65, 2 Ru 3.47
Y 0.4390 0.4390 0.0610  2 Cd 3.30, 10 Y 3.47-3.65, 2 Ru 3.47
Y 0.6529 0.0413 0.6529  3 Ru 2.85
Y 0.6529 0.6529 0.0413  3 Ru 2.85
Y 0.6529 0.6529 0.6529  3 Ru 2.85
Y 0.8105 0.1895 0.1895  2 Ru 2.78
Y 0.8105 0.1895 0.8105  2 Ru 2.78
Y 0.8105 0.8105 0.1895  2 Ru 2.78
Cd 0.4200 0.4200 0.4200  3 Cd 3.09, 3 Y 3.30
Cd 0.4200 0.4200 0.7400  3 Cd 3.09, 3 Y 3.30
Cd 0.4200 0.7400 0.4200  3 Cd 3.09, 3 Y 3.30
Cd 0.7400 0.4200 0.4200  3 Cd 3.09, 3 Y 3.30
Ru 0.4190 0.8603 0.8603  6 Y 2.78-2.85
Ru 0.8603 0.4190 0.8603  6 Y 2.78-2.85
Ru 0.8603 0.8603 0.4190  6 Y 2.78-2.85
Ru 0.8603 0.8603 0.8603  6 Y 2.78-2.85

Output
Volume, Å³/cell: 638.44
Theoretical density, kg/m3: 5921

Compound: Y10Cd3Ru
Source: the Materials Project
Functional: PBE-GGA
Structure: relaxed

Cell lengths 9.6387, 9.6387, 9.8711 Å; angles 90.00, 90.00, 120.00 degrees
Last column: nearest neighbours and their distance in Å.
Atoms (fractional coordinates):
Y 0.0000 0.0000 0.0000  6 Cd 3.12
Y 0.0000 0.0000 0.5000  6 Cd 3.12
Y 0.0826 0.5413 0.2500  2 Cd 3.17, 1 Ru 3.47
Y 0.2098 0.4197 0.5602  1 Ru 2.79
Y 0.2098 0.4197 0.9398  1 Ru 2.79
Y 0.2098 0.7902 0.5602  1 Ru 2.79
Y 0.2098 0.7902 0.9398  1 Ru 2.79
Y 0.4197 0.2098 0.0602  1 Ru 2.79
Y 0.4197 0.2098 0.4398  1 Ru 2.79
Y 0.4587 0.5413 0.2500  2 Cd 3.17, 1 Ru 3.47
Y 0.4587 0.9174 0.2500  2 Cd 3.17, 1 Ru 3.47
Y 0.5413 0.0826 0.7500  2 Cd 3.17, 1 Ru 3.47
Y 0.5413 0.4587 0.7500  2 Cd 3.17, 1 Ru 3.47
Y 0.5803 0.7902 0.5602  1 Ru 2.79
Y 0.5803 0.7902 0.9398  1 Ru 2.79
Y 0.7902 0.2098 0.0602  1 Ru 2.79
Y 0.7902 0.2098 0.4398  1 Ru 2.79
Y 0.7902 0.5803 0.0602  1 Ru 2.79
Y 0.7902 0.5803 0.4398  1 Ru 2.79
Y 0.9174 0.4587 0.7500  2 Cd 3.17, 1 Ru 3.47
Cd 0.1146 0.2291 0.2500  6 Y 3.12-3.45, 2 Cd 3.31
Cd 0.1146 0.8854 0.2500  6 Y 3.12-3.45, 2 Cd 3.31
Cd 0.2291 0.1146 0.7500  6 Y 3.12-3.45, 2 Cd 3.31
Cd 0.7709 0.8854 0.2500  6 Y 3.12-3.45, 2 Cd 3.31
Cd 0.8854 0.1146 0.7500  6 Y 3.12-3.45, 2 Cd 3.31
Cd 0.8854 0.7709 0.7500  6 Y 3.12-3.45, 2 Cd 3.31
Ru 0.3333 0.6667 0.7500  6 Y 2.79
Ru 0.6667 0.3333 0.2500  6 Y 2.79

Output
Volume, Å³/cell: 794.21
Theoretical density, kg/m3: 5551

| no. | DFT formation energy (eV per atom) | VASP energy (eV/atom) |
| --- | --- | --- |
| 1 | -0.635 | -5.65 |
| 2 | -0.484 | -4.96 |
| 3 | -0.553 | -5.62 |
| 4 | -0.039 | -4.54 |
| 5 | -0.615 | -5.65 |
| 6 | -0.281 | -5.49 |
| 7 | -0.325 | -6.34 |
| 8 | -0.273 | -5.75 |